Model a:
{
  "formula": "BaYMgCoCuO5",
  "functional": "PBE+U",
  "state": "optimized geometry",
  "spacegroup": "Pmm2",
  "lattice_angstrom": [[3.821, 0.000, 0.000], [0.000, 4.045, 0.000], [0.000, 0.000, 9.633]],
  "species": ["Ba", "Y", "Mg", "Co", "Cu", "O", "O", "O", "O", "O"],
  "frac_coords": [[0.000, 0.000, 0.000], [0.000, 0.000, 0.359], [0.000, 0.500, 0.714], [0.500, 0.500, 0.498], [0.500, 0.500, 0.204], [0.000, 0.500, 0.197], [0.000, 0.500, 0.511], [0.500, 0.000, 0.187], [0.500, 0.000, 0.488], [0.500, 0.500, 0.813]]
}


Model b:
{
  "formula": "BaYMgCoCuO5",
  "functional": "PBE+U",
  "state": "optimized geometry",
  "spacegroup": "P4mm",
  "lattice_angstrom": [[3.917, 0.000, 0.000], [0.000, 3.917, 0.000], [0.000, 0.000, 10.806]],
  "species": ["Ba", "Y", "Mg", "Co", "Cu", "O", "O", "O", "O", "O"],
  "frac_coords": [[0.000, 0.000, 0.000], [0.000, 0.000, 0.654], [0.000, 0.000, 0.383], [0.500, 0.500, 0.807], [0.500, 0.500, 0.467], [0.000, 0.500, 0.462], [0.000, 0.500, 0.756], [0.500, 0.000, 0.462], [0.500, 0.000, 0.756], [0.500, 0.500, 0.999]]
}


Most favorable structure: model b. The second most favorable one is 0.032 eV/atom above it.


Model a:
{
  "formula": "Ta2MnO6",
  "functional": "PBE+U",
  "state": "optimized geometry",
  "spacegroup": "Pbcn",
  "lattice_angstrom": [[14.595, 0.000, 0.000], [0.000, 5.874, 0.000], [0.000, 0.000, 5.139]],
  "species": ["Ta", "Ta", "Ta", "Ta", "Ta", "Ta", "Ta", "Ta", "Mn", "Mn", "Mn", "Mn", "O", "O", "O", "O", "O", "O", "O", "O", "O", "O", "O", "O", "O", "O", "O", "O", "O", "O", "O", "O", "O", "O", "O", "O"],
  "frac_coords": [[0.163, 0.175, 0.239], [0.163, 0.825, 0.739], [0.337, 0.325, 0.739], [0.337, 0.675, 0.239], [0.663, 0.325, 0.761], [0.663, 0.675, 0.261], [0.837, 0.175, 0.261], [0.837, 0.825, 0.761], [0.000, 0.329, 0.750], [0.000, 0.671, 0.250], [0.500, 0.171, 0.250], [0.500, 0.829, 0.750], [0.082, 0.380, 0.099], [0.082, 0.620, 0.599], [0.100, 0.099, 0.563], [0.100, 0.901, 0.063], [0.245, 0.130, 0.915], [0.245, 0.870, 0.415], [0.255, 0.370, 0.415], [0.255, 0.630, 0.915], [0.400, 0.401, 0.063], [0.400, 0.599, 0.563], [0.418, 0.120, 0.599], [0.418, 0.880, 0.099], [0.582, 0.120, 0.901], [0.582, 0.880, 0.401], [0.600, 0.401, 0.437], [0.600, 0.599, 0.937], [0.745, 0.370, 0.085], [0.745, 0.630, 0.585], [0.755, 0.130, 0.585], [0.755, 0.870, 0.085], [0.900, 0.099, 0.937], [0.900, 0.901, 0.437], [0.918, 0.380, 0.401], [0.918, 0.620, 0.901]]
}


Model b:
{
  "formula": "Ta2MnO6",
  "functional": "PBE+U",
  "state": "optimized geometry",
  "lattice_angstrom": [[4.833, 0.000, 0.000], [0.000, -4.833, 9.380], [0.000, -9.667, 0.000]],
  "species": ["O", "Ta", "O", "O", "O", "Ta", "O", "Mn", "O", "O", "Ta", "O", "O", "Ta", "O", "O", "O", "Mn", "O", "Ta", "O", "Mn", "O", "O", "Ta", "Mn", "O", "O", "Ta", "O", "O", "O", "O", "O", "O", "Ta"],
  "frac_coords": [[0.684, 0.333, 0.491], [0.000, 0.665, 0.167], [0.207, 0.516, 0.846], [0.316, 0.333, 0.676], [0.707, 0.016, 0.638], [0.500, 0.501, 0.499], [0.793, 0.516, 0.138], [0.000, 0.333, 0.833], [0.184, 0.833, 0.176], [0.293, 0.016, 0.846], [0.500, 0.501, 0.999], [0.184, 0.833, 0.676], [0.207, 0.516, 0.346], [0.500, 0.165, 0.167], [0.793, 0.151, 0.821], [0.316, 0.333, 0.176], [0.707, 0.651, 0.821], [0.500, 0.833, 0.833], [0.793, 0.516, 0.638], [0.500, 0.165, 0.667], [0.816, 0.833, 0.491], [0.000, 0.333, 0.333], [0.707, 0.016, 0.138], [0.293, 0.651, 0.028], [0.000, 0.001, 0.999], [0.500, 0.833, 0.333], [0.707, 0.651, 0.321], [0.293, 0.651, 0.528], [0.000, 0.001, 0.499], [0.684, 0.333, 0.991], [0.207, 0.151, 0.528], [0.793, 0.151, 0.321], [0.816, 0.833, 0.991], [0.207, 0.151, 0.028], [0.293, 0.016, 0.346], [0.000, 0.665, 0.667]]
}


Most favorable structure: model a. The second most favorable one is 0.008 eV/atom above it.


Model a:
{
  "formula": "LiFeOF2",
  "functional": "PBE+U",
  "state": "optimized geometry",
  "spacegroup": "P1",
  "lattice_angstrom": [[5.297, 0.000, 0.000], [0.016, 8.955, 0.000], [1.459, 0.046, 9.757]],
  "species": ["Li", "Li", "Li", "Li", "Li", "Li", "Li", "Li", "Fe", "Fe", "Fe", "Fe", "Fe", "Fe", "Fe", "Fe", "O", "O", "O", "O", "O", "O", "O", "O", "F", "F", "F", "F", "F", "F", "F", "F", "F", "F", "F", "F", "F", "F", "F", "F"],
  "frac_coords": [[0.000, 0.000, 0.000], [0.014, 0.489, 0.516], [0.122, 0.998, 0.627], [0.140, 0.499, 0.140], [0.499, 0.183, 0.012], [0.514, 0.673, 0.518], [0.625, 0.187, 0.624], [0.647, 0.675, 0.138], [0.081, 0.683, 0.802], [0.082, 0.188, 0.333], [0.082, 0.823, 0.329], [0.083, 0.323, 0.808], [0.556, 0.348, 0.331], [0.559, 0.019, 0.324], [0.580, 0.496, 0.804], [0.584, 0.859, 0.805], [0.202, 0.995, 0.421], [0.223, 0.336, 0.432], [0.423, 0.343, 0.721], [0.432, 0.174, 0.214], [0.444, 0.679, 0.725], [0.716, 0.174, 0.421], [0.921, 0.836, 0.720], [0.943, 0.503, 0.722], [0.165, 0.183, 0.950], [0.186, 0.676, 0.452], [0.214, 0.507, 0.939], [0.220, 0.836, 0.931], [0.432, 0.838, 0.215], [0.452, 0.003, 0.687], [0.466, 0.502, 0.199], [0.664, 0.998, 0.948], [0.693, 0.502, 0.447], [0.718, 0.840, 0.421], [0.719, 0.670, 0.940], [0.721, 0.346, 0.932], [0.926, 0.338, 0.211], [0.932, 0.992, 0.206], [0.945, 0.173, 0.697], [0.974, 0.682, 0.199]]
}


Model b:
{
  "formula": "LiFeOF2",
  "functional": "PBE+U",
  "state": "optimized geometry",
  "spacegroup": "C2/c",
  "lattice_angstrom": [[4.915, -4.483, 0.000], [4.915, 4.483, 0.000], [-0.808, 0.000, 5.218]],
  "species": ["Li", "Li", "Li", "Li", "Fe", "Fe", "Fe", "Fe", "O", "O", "O", "O", "F", "F", "F", "F", "F", "F", "F", "F"],
  "frac_coords": [[0.103, 0.280, 0.323], [0.280, 0.103, 0.823], [0.720, 0.897, 0.177], [0.897, 0.720, 0.677], [0.242, 0.758, 0.250], [0.427, 0.573, 0.750], [0.573, 0.427, 0.250], [0.758, 0.242, 0.750], [0.304, 0.488, 0.391], [0.488, 0.304, 0.891], [0.512, 0.696, 0.109], [0.696, 0.512, 0.609], [0.035, 0.213, 0.644], [0.140, 0.640, 0.890], [0.213, 0.035, 0.144], [0.360, 0.860, 0.610], [0.640, 0.140, 0.390], [0.787, 0.965, 0.856], [0.860, 0.360, 0.110], [0.965, 0.787, 0.356]]
}


Most favorable structure: model b. The second most favorable one is 0.046 eV/atom above it.


Model a:
{
  "formula": "Fe4O3F5",
  "functional": "PBE+U",
  "state": "optimized geometry",
  "spacegroup": "Cm",
  "lattice_angstrom": [[4.787, -3.091, 0.000], [4.787, 3.091, 0.000], [-4.105, 0.000, 9.560]],
  "species": ["Fe", "Fe", "Fe", "Fe", "Fe", "Fe", "Fe", "Fe", "O", "O", "O", "O", "O", "O", "F", "F", "F", "F", "F", "F", "F", "F", "F", "F"],
  "frac_coords": [[0.000, 0.000, 0.000], [0.123, 0.641, 0.240], [0.246, 0.246, 0.507], [0.392, 0.867, 0.739], [0.504, 0.504, 0.994], [0.641, 0.123, 0.240], [0.758, 0.758, 0.491], [0.867, 0.392, 0.739], [0.171, 0.171, 0.656], [0.425, 0.425, 0.145], [0.580, 0.580, 0.843], [0.683, 0.683, 0.643], [0.833, 0.833, 0.345], [0.929, 0.929, 0.150], [0.076, 0.076, 0.847], [0.115, 0.590, 0.894], [0.144, 0.666, 0.594], [0.327, 0.327, 0.345], [0.365, 0.844, 0.393], [0.417, 0.890, 0.096], [0.590, 0.115, 0.894], [0.666, 0.144, 0.594], [0.844, 0.365, 0.393], [0.890, 0.417, 0.096]]
}


Model b:
{
  "formula": "Fe4O3F5",
  "functional": "PBE+U",
  "state": "optimized geometry",
  "spacegroup": "P1",
  "lattice_angstrom": [[5.698, 0.000, 0.000], [-2.597, 5.077, 0.000], [-0.734, -3.035, 9.679]],
  "species": ["Fe", "Fe", "Fe", "Fe", "Fe", "Fe", "Fe", "Fe", "O", "O", "O", "O", "O", "O", "F", "F", "F", "F", "F", "F", "F", "F", "F", "F"],
  "frac_coords": [[0.000, 0.000, 0.000], [0.110, 0.612, 0.251], [0.240, 0.270, 0.511], [0.377, 0.877, 0.748], [0.506, 0.560, 0.024], [0.649, 0.165, 0.252], [0.763, 0.784, 0.507], [0.887, 0.400, 0.754], [0.068, 0.773, 0.851], [0.159, 0.481, 0.658], [0.429, 0.775, 0.169], [0.691, 0.021, 0.663], [0.827, 0.543, 0.356], [0.921, 0.223, 0.151], [0.116, 0.317, 0.912], [0.163, 0.968, 0.608], [0.332, 0.053, 0.357], [0.354, 0.570, 0.410], [0.403, 0.227, 0.101], [0.590, 0.315, 0.859], [0.598, 0.821, 0.902], [0.640, 0.477, 0.603], [0.851, 0.071, 0.402], [0.904, 0.712, 0.108]]
}


Model c:
{
  "formula": "Fe4O3F5",
  "functional": "PBE+U",
  "state": "optimized geometry",
  "spacegroup": "Pc",
  "lattice_angstrom": [[4.838, 0.000, 0.000], [0.000, 6.178, 0.000], [-0.160, 0.000, 9.721]],
  "species": ["Fe", "Fe", "Fe", "Fe", "Fe", "Fe", "Fe", "Fe", "O", "O", "O", "O", "O", "O", "F", "F", "F", "F", "F", "F", "F", "F", "F", "F"],
  "frac_coords": [[0.000, 0.004, 0.000], [0.000, 0.996, 0.500], [0.066, 0.491, 0.037], [0.066, 0.509, 0.537], [0.535, 0.248, 0.763], [0.535, 0.752, 0.263], [0.568, 0.249, 0.245], [0.568, 0.751, 0.745], [0.356, 0.498, 0.673], [0.356, 0.502, 0.173], [0.702, 0.000, 0.344], [0.702, 0.000, 0.844], [0.848, 0.259, 0.106], [0.848, 0.741, 0.606], [0.223, 0.265, 0.420], [0.223, 0.735, 0.920], [0.242, 0.265, 0.912], [0.242, 0.735, 0.412], [0.334, 0.005, 0.657], [0.334, 0.995, 0.157], [0.747, 0.500, 0.364], [0.747, 0.500, 0.864], [0.837, 0.264, 0.614], [0.837, 0.736, 0.114]]
}


Most favorable structure: model a. The second most favorable one is 0.011 eV/atom above it.


Model a:
{
  "formula": "Fe4O3F5",
  "functional": "PBE+U",
  "state": "optimized geometry",
  "spacegroup": "P1",
  "lattice_angstrom": [[4.781, 0.000, 0.000], [-0.082, 7.839, 0.000], [-0.085, -1.996, 7.601]],
  "species": ["Fe", "Fe", "Fe", "Fe", "Fe", "Fe", "Fe", "Fe", "O", "O", "O", "O", "O", "O", "F", "F", "F", "F", "F", "F", "F", "F", "F", "F"],
  "frac_coords": [[0.000, 0.000, 0.000], [0.004, 0.499, 0.499], [0.452, 0.628, 0.878], [0.486, 0.861, 0.609], [0.521, 0.141, 0.391], [0.552, 0.372, 0.124], [0.946, 0.231, 0.751], [0.979, 0.730, 0.212], [0.184, 0.774, 0.024], [0.310, 0.652, 0.648], [0.676, 0.593, 0.083], [0.679, 0.081, 0.591], [0.694, 0.346, 0.350], [0.795, 0.215, 0.966], [0.187, 0.256, 0.532], [0.194, 0.526, 0.256], [0.196, 0.021, 0.759], [0.283, 0.896, 0.392], [0.286, 0.389, 0.890], [0.305, 0.156, 0.161], [0.690, 0.841, 0.837], [0.778, 0.966, 0.229], [0.788, 0.460, 0.729], [0.795, 0.729, 0.453]]
}


Model b:
{
  "formula": "Fe4O3F5",
  "functional": "PBE+U",
  "state": "optimized geometry",
  "spacegroup": "P1",
  "lattice_angstrom": [[4.822, 0.000, 0.000], [0.013, 6.134, 0.000], [0.059, 3.042, 9.650]],
  "species": ["Fe", "Fe", "Fe", "Fe", "Fe", "Fe", "Fe", "Fe", "O", "O", "O", "O", "O", "O", "F", "F", "F", "F", "F", "F", "F", "F", "F", "F"],
  "frac_coords": [[0.000, 0.000, 0.000], [0.002, 0.760, 0.502], [0.447, 0.126, 0.246], [0.486, 0.621, 0.266], [0.517, 0.392, 0.736], [0.553, 0.865, 0.759], [0.940, 0.485, 0.030], [0.969, 0.230, 0.520], [0.160, 0.200, 0.098], [0.300, 0.827, 0.344], [0.651, 0.421, 0.167], [0.686, 0.167, 0.671], [0.704, 0.671, 0.659], [0.813, 0.790, 0.921], [0.183, 0.695, 0.110], [0.201, 0.445, 0.606], [0.215, 0.944, 0.618], [0.277, 0.322, 0.360], [0.299, 0.076, 0.857], [0.316, 0.570, 0.852], [0.683, 0.922, 0.154], [0.770, 0.057, 0.395], [0.785, 0.295, 0.910], [0.788, 0.546, 0.404]]
}


Model c:
{
  "formula": "Fe4O3F5",
  "functional": "PBE+U",
  "state": "optimized geometry",
  "spacegroup": "P-1",
  "lattice_angstrom": [[4.763, 0.000, 0.000], [-0.118, 4.769, 0.000], [-0.090, -0.277, 12.557]],
  "species": ["Fe", "Fe", "Fe", "Fe", "Fe", "Fe", "Fe", "Fe", "O", "O", "O", "O", "O", "O", "F", "F", "F", "F", "F", "F", "F", "F", "F", "F"],
  "frac_coords": [[0.000, 0.000, 0.000], [0.000, 0.000, 0.500], [0.017, 0.035, 0.241], [0.481, 0.539, 0.866], [0.482, 0.489, 0.389], [0.518, 0.511, 0.611], [0.519, 0.461, 0.134], [0.983, 0.965, 0.759], [0.186, 0.805, 0.875], [0.288, 0.287, 0.505], [0.317, 0.308, 0.252], [0.683, 0.692, 0.748], [0.712, 0.713, 0.495], [0.814, 0.195, 0.125], [0.189, 0.806, 0.629], [0.191, 0.813, 0.370], [0.218, 0.790, 0.131], [0.283, 0.293, 0.753], [0.319, 0.320, 0.999], [0.681, 0.680, 0.001], [0.717, 0.707, 0.247], [0.782, 0.210, 0.869], [0.809, 0.187, 0.630], [0.811, 0.194, 0.371]]
}


Most favorable structure: model a. The second most favorable one is 0.009 eV/atom above it.